Entry from the Materials Project database: a relaxed SbF4 crystal (PBE).

```
data_SbF4
_cell_length_a 12.256
_cell_length_b 9.608
_cell_length_c 11.820
_cell_angle_alpha 73.10
_cell_angle_beta 90.00
_cell_angle_gamma 90.00
_space_group_name_H-M_alt 'P 1'
_space_group_IT_number 1
loop_
_space_group_symop_operation_xyz
'x,y,z'
loop_
_atom_site_label
_atom_site_type_symbol
_atom_site_fract_x
_atom_site_fract_y
_atom_site_fract_z
F1 F 0.800 0.344 0.745
F2 F 0.224 0.113 0.037
F3 F 0.978 0.669 0.272
F4 F 0.056 0.140 0.582
F5 F 0.556 0.860 0.918
F6 F 0.888 0.341 0.541
F7 F 0.679 0.383 0.459
F8 F 0.793 0.138 0.132
F9 F 0.254 0.331 0.823
F10 F 0.776 0.887 0.963
F11 F 0.159 0.823 0.602
F12 F 0.316 0.374 0.031
F13 F 0.916 0.352 0.174
F14 F 0.746 0.669 0.177
F15 F 0.522 0.669 0.772
F16 F 0.008 0.093 0.161
F17 F 0.533 0.652 0.128
F18 F 0.542 0.646 0.512
F19 F 0.816 0.626 0.469
F20 F 0.841 0.177 0.398
F21 F 0.416 0.648 0.326
F22 F 0.033 0.348 0.372
F23 F 0.420 0.858 0.563
F24 F 0.458 0.354 0.488
F25 F 0.684 0.626 0.969
F26 F 0.381 0.087 0.878
F27 F 0.119 0.087 0.378
F28 F 0.022 0.331 0.728
F29 F 0.508 0.907 0.339
F30 F 0.276 0.113 0.537
F31 F 0.944 0.860 0.418
F32 F 0.388 0.659 0.959
F33 F 0.619 0.913 0.122
F34 F 0.967 0.652 0.628
F35 F 0.659 0.177 0.898
F36 F 0.612 0.341 0.041
F37 F 0.200 0.656 0.255
F38 F 0.584 0.352 0.674
F39 F 0.341 0.823 0.102
F40 F 0.821 0.383 0.959
F41 F 0.112 0.659 0.459
F42 F 0.478 0.331 0.228
F43 F 0.207 0.862 0.868
F44 F 0.080 0.858 0.063
F45 F 0.184 0.374 0.531
F46 F 0.707 0.138 0.632
F47 F 0.293 0.862 0.368
F48 F 0.754 0.669 0.677
F49 F 0.492 0.093 0.661
F50 F 0.084 0.648 0.826
F51 F 0.700 0.344 0.245
F52 F 0.300 0.656 0.755
F53 F 0.042 0.354 0.988
F54 F 0.580 0.142 0.437
F55 F 0.179 0.617 0.041
F56 F 0.467 0.348 0.872
F57 F 0.881 0.913 0.622
F58 F 0.321 0.617 0.541
F59 F 0.958 0.646 0.012
F60 F 0.724 0.887 0.463
F61 F 0.992 0.907 0.839
F62 F 0.920 0.142 0.937
F63 F 0.444 0.140 0.082
F64 F 0.246 0.331 0.323
Sb1 Sb 0.091 0.799 0.292
Sb2 Sb 0.079 0.760 0.941
Sb3 Sb 0.909 0.201 0.708
Sb4 Sb 0.659 0.772 0.045
Sb5 Sb 0.653 0.385 0.851
Sb6 Sb 0.347 0.615 0.149
Sb7 Sb 0.921 0.240 0.059
Sb8 Sb 0.841 0.772 0.545
Sb9 Sb 0.421 0.760 0.441
Sb10 Sb 0.591 0.201 0.208
Sb11 Sb 0.409 0.799 0.792
Sb12 Sb 0.847 0.385 0.351
Sb13 Sb 0.153 0.615 0.649
Sb14 Sb 0.159 0.228 0.455
Sb15 Sb 0.579 0.240 0.559
Sb16 Sb 0.341 0.228 0.955
```

Calculated values
ΔH_f (0 K): -2.66 eV per atom
Corrected total energy (MP2020 scheme): -5.02 eV/atom
Crystal system: monoclinic